#a
Computed, not measured: a relaxed structure of MgGeP2 at the PBE level of DFT.

a b c (Å): 3.889 3.889 5.945
angles (deg): 90.00 90.00 90.00
Sites, in units of the cell vectors:
1 Mg 0.000 0.000 0.000
2 Ge 0.500 0.500 0.500
3 P 0.000 0.500 0.268
4 P 0.500 0.000 0.732

=====

#b
Computed, not measured: a relaxed structure of MgGeP2 at the PBE level of DFT.

Results
Maximum piezoelectric response (C/m2): 0.185

a b c (Å): 5.789 5.789 10.761
angles (deg): 90.00 90.00 90.00
Sites, in units of the cell vectors:
1 Mg 0.000 0.000 0.000
2 Mg 0.000 0.500 0.250
3 Mg 0.500 0.000 0.750
4 Mg 0.500 0.500 0.500
5 Ge 0.000 0.000 0.500
6 Ge 0.000 0.500 0.750
7 Ge 0.500 0.000 0.250
8 Ge 0.500 0.500 0.000
9 P 0.222 0.250 0.625
10 P 0.250 0.722 0.875
11 P 0.250 0.778 0.375
12 P 0.278 0.250 0.125
13 P 0.722 0.750 0.125
14 P 0.750 0.222 0.375
15 P 0.750 0.278 0.875
16 P 0.778 0.750 0.625

=====

Result of the stability comparison: #a is the least stable of them.

=====

#a
Computed, not measured: a relaxed structure of Mn5Ge2 at the PBE level of DFT.

a b c (Å): 6.957 6.957 12.588
angles (deg): 90.00 90.00 120.00
Sites, in units of the cell vectors:
1 Mn 0.000 0.000 0.000
2 Mn 0.000 0.000 0.500
3 Mn 0.000 0.298 0.327
4 Mn 0.000 0.303 0.121
5 Mn 0.000 0.358 0.525
6 Mn 0.000 0.367 0.731
7 Mn 0.000 0.633 0.231
8 Mn 0.000 0.642 0.025
9 Mn 0.000 0.697 0.621
10 Mn 0.000 0.702 0.827
11 Mn 0.298 0.000 0.327
12 Mn 0.298 0.298 0.827
13 Mn 0.303 0.000 0.121
14 Mn 0.303 0.303 0.621
15 Mn 0.333 0.667 0.349
16 Mn 0.333 0.667 0.849
17 Mn 0.358 0.000 0.525
18 Mn 0.358 0.358 0.025
19 Mn 0.367 0.000 0.731
20 Mn 0.367 0.367 0.231
21 Mn 0.633 0.000 0.231
22 Mn 0.633 0.633 0.731
23 Mn 0.642 0.000 0.025
24 Mn 0.642 0.642 0.525
25 Mn 0.667 0.333 0.349
26 Mn 0.667 0.333 0.849
27 Mn 0.697 0.000 0.621
28 Mn 0.697 0.697 0.121
29 Mn 0.702 0.000 0.827
30 Mn 0.702 0.702 0.327
31 Ge 0.000 0.000 0.213
32 Ge 0.000 0.000 0.713
33 Ge 0.000 0.332 0.926
34 Ge 0.000 0.668 0.426
35 Ge 0.332 0.000 0.926
36 Ge 0.332 0.332 0.426
37 Ge 0.333 0.667 0.139
38 Ge 0.333 0.667 0.639
39 Ge 0.667 0.333 0.139
40 Ge 0.667 0.333 0.639
41 Ge 0.668 0.000 0.426
42 Ge 0.668 0.668 0.926

=====

#b
Computed, not measured: a relaxed structure of Mn5Ge2 at the PBE level of DFT.

a b c (Å): 6.989 6.989 6.989
angles (deg): 129.39 69.75 135.37
Sites, in units of the cell vectors:
1 Mn 0.020 0.250 0.770
2 Mn 0.109 0.714 0.823
3 Mn 0.250 0.250 0.000
4 Mn 0.391 0.214 0.605
5 Mn 0.480 0.250 0.230
6 Mn 0.520 0.750 0.770
7 Mn 0.609 0.786 0.395
8 Mn 0.750 0.750 0.000
9 Mn 0.891 0.286 0.177
10 Mn 0.980 0.750 0.230
11 Ge 0.116 0.286 0.402
12 Ge 0.384 0.786 0.170
13 Ge 0.616 0.214 0.830
14 Ge 0.884 0.714 0.598

=====

Result of the stability comparison: #b is the least stable of them.

=====

#a
Computed, not measured: a relaxed structure of Sr2GeN2 at the PBE level of DFT.

a b c (Å): 11.860 11.860 5.427
angles (deg): 90.00 90.00 90.00
Sites, in units of the cell vectors:
1 Sr 0.022 0.349 0.000
2 Sr 0.080 0.134 0.500
3 Sr 0.134 0.920 0.000
4 Sr 0.151 0.478 0.500
5 Sr 0.349 0.978 0.500
6 Sr 0.366 0.420 0.000
7 Sr 0.420 0.634 0.500
8 Sr 0.478 0.849 0.000
9 Sr 0.522 0.151 0.000
10 Sr 0.580 0.366 0.500
11 Sr 0.634 0.580 0.000
12 Sr 0.651 0.022 0.500
13 Sr 0.849 0.522 0.500
14 Sr 0.866 0.080 0.000
15 Sr 0.920 0.866 0.500
16 Sr 0.978 0.651 0.000
17 Ge 0.151 0.744 0.500
18 Ge 0.244 0.651 0.000
19 Ge 0.256 0.151 0.000
20 Ge 0.349 0.244 0.500
21 Ge 0.651 0.756 0.500
22 Ge 0.744 0.849 0.000
23 Ge 0.756 0.349 0.000
24 Ge 0.849 0.256 0.500
25 N 0.012 0.665 0.500
26 N 0.099 0.134 0.000
27 N 0.134 0.901 0.500
28 N 0.165 0.512 0.000
29 N 0.335 0.012 0.000
30 N 0.366 0.401 0.500
31 N 0.401 0.634 0.000
32 N 0.488 0.165 0.500
33 N 0.512 0.835 0.500
34 N 0.599 0.366 0.000
35 N 0.634 0.599 0.500
36 N 0.665 0.988 0.000
37 N 0.835 0.488 0.000
38 N 0.866 0.099 0.500
39 N 0.901 0.866 0.000
40 N 0.988 0.335 0.500

=====

#b
Computed, not measured: a relaxed structure of Sr2GeN2 at the PBE level of DFT.

a b c (Å): 6.354 6.354 12.267
angles (deg): 90.00 90.00 129.06
Sites, in units of the cell vectors:
1 Sr 0.048 0.952 0.858
2 Sr 0.144 0.856 0.442
3 Sr 0.356 0.644 0.942
4 Sr 0.452 0.548 0.358
5 Sr 0.548 0.452 0.642
6 Sr 0.644 0.356 0.058
7 Sr 0.856 0.144 0.558
8 Sr 0.952 0.048 0.142
9 Ge 0.240 0.760 0.680
10 Ge 0.260 0.740 0.180
11 Ge 0.740 0.260 0.820
12 Ge 0.760 0.240 0.320
13 N 0.079 0.921 0.642
14 N 0.160 0.840 0.060
15 N 0.340 0.660 0.560
16 N 0.421 0.579 0.142
17 N 0.579 0.421 0.858
18 N 0.660 0.340 0.440
19 N 0.840 0.160 0.940
20 N 0.921 0.079 0.358

=====

Result of the stability comparison: #b is the least stable of them.

=====

#a
Computed, not measured: a relaxed structure of Sr4GeN4 at the PBE level of DFT.

a b c (Å): 6.133 11.909 9.944
angles (deg): 90.00 90.00 90.00
Sites, in units of the cell vectors:
1 Sr 0.118 0.126 0.104
2 Sr 0.118 0.374 0.396
3 Sr 0.148 0.250 0.750
4 Sr 0.250 0.000 0.430
5 Sr 0.250 0.500 0.070
6 Sr 0.352 0.750 0.750
7 Sr 0.382 0.626 0.396
8 Sr 0.382 0.874 0.104
9 Sr 0.618 0.126 0.896
10 Sr 0.618 0.374 0.604
11 Sr 0.648 0.250 0.250
12 Sr 0.750 0.000 0.570
13 Sr 0.750 0.500 0.930
14 Sr 0.852 0.750 0.250
15 Sr 0.882 0.626 0.604
16 Sr 0.882 0.874 0.896
17 Ge 0.250 0.000 0.747
18 Ge 0.250 0.500 0.753
19 Ge 0.750 0.000 0.253
20 Ge 0.750 0.500 0.247
21 N 0.017 0.072 0.854
22 N 0.017 0.428 0.646
23 N 0.096 0.612 0.856
24 N 0.096 0.888 0.644
25 N 0.404 0.112 0.644
26 N 0.404 0.388 0.856
27 N 0.483 0.572 0.646
28 N 0.483 0.928 0.854
29 N 0.517 0.072 0.146
30 N 0.517 0.428 0.354
31 N 0.596 0.612 0.144
32 N 0.596 0.888 0.356
33 N 0.904 0.112 0.356
34 N 0.904 0.388 0.144
35 N 0.983 0.572 0.354
36 N 0.983 0.928 0.146

=====

#b
Computed, not measured: a relaxed structure of Sr4GeN4 at the PBE level of DFT.

a b c (Å): 6.767 6.887 8.576
angles (deg): 82.30 74.16 60.71
Sites, in units of the cell vectors:
1 Sr 0.036 0.227 0.057
2 Sr 0.117 0.295 0.633
3 Sr 0.263 0.774 0.556
4 Sr 0.412 0.707 0.133
5 Sr 0.588 0.293 0.867
6 Sr 0.737 0.226 0.444
7 Sr 0.883 0.705 0.367
8 Sr 0.964 0.773 0.943
9 Ge 0.376 0.248 0.250
10 Ge 0.624 0.752 0.750
11 N 0.211 0.080 0.340
12 N 0.223 0.460 0.092
13 N 0.293 0.923 0.840
14 N 0.318 0.460 0.408
15 N 0.682 0.540 0.592
16 N 0.707 0.077 0.160
17 N 0.777 0.540 0.908
18 N 0.789 0.920 0.660

=====

Result of the stability comparison: #a is the least stable of them.

=====

#a
Computed, not measured: a relaxed structure of Na2Ge2O5 at the PBE level of DFT.

Results
Maximum piezoelectric response (C/m2): 0.076

a b c (Å): 8.538 12.323 5.009
angles (deg): 90.00 90.00 90.00
Sites, in units of the cell vectors:
1 Na 0.066 0.228 0.000
2 Na 0.187 0.694 0.965
3 Na 0.313 0.194 0.465
4 Na 0.434 0.728 0.500
5 Na 0.566 0.272 0.000
6 Na 0.687 0.806 0.965
7 Na 0.813 0.306 0.465
8 Na 0.934 0.772 0.500
9 Ge 0.049 0.928 0.044
10 Ge 0.110 0.526 0.426
11 Ge 0.390 0.026 0.926
12 Ge 0.451 0.428 0.544
13 Ge 0.549 0.572 0.044
14 Ge 0.610 0.974 0.426
15 Ge 0.890 0.474 0.926
16 Ge 0.951 0.072 0.544
17 O 0.027 0.951 0.399
18 O 0.038 0.194 0.472
19 O 0.071 0.519 0.071
20 O 0.166 0.657 0.496
21 O 0.244 0.416 0.485
22 O 0.256 0.916 0.985
23 O 0.334 0.157 0.996
24 O 0.429 0.019 0.571
25 O 0.462 0.694 0.972
26 O 0.473 0.451 0.899
27 O 0.527 0.549 0.399
28 O 0.538 0.306 0.472
29 O 0.571 0.981 0.071
30 O 0.666 0.843 0.496
31 O 0.744 0.084 0.485
32 O 0.756 0.584 0.985
33 O 0.834 0.343 0.996
34 O 0.929 0.481 0.571
35 O 0.962 0.806 0.972
36 O 0.973 0.049 0.899

=====

#b
Computed, not measured: a relaxed structure of Na2Ge2O5 at the PBE level of DFT.

Results
Maximum piezoelectric response (C/m2): 0.377

a b c (Å): 9.964 5.746 8.695
angles (deg): 90.00 90.00 90.00
Sites, in units of the cell vectors:
1 Na 0.010 0.064 0.000
2 Na 0.243 0.908 0.227
3 Na 0.257 0.908 0.727
4 Na 0.490 0.064 0.500
5 Na 0.510 0.936 0.000
6 Na 0.743 0.092 0.227
7 Na 0.757 0.092 0.727
8 Na 0.990 0.936 0.500
9 Ge 0.039 0.454 0.727
10 Ge 0.201 0.366 0.424
11 Ge 0.299 0.366 0.924
12 Ge 0.461 0.454 0.227
13 Ge 0.539 0.546 0.727
14 Ge 0.701 0.634 0.424
15 Ge 0.799 0.634 0.924
16 Ge 0.961 0.546 0.227
17 O 0.003 0.835 0.232
18 O 0.094 0.338 0.255
19 O 0.109 0.562 0.549
20 O 0.164 0.555 0.864
21 O 0.241 0.089 0.480
22 O 0.259 0.089 0.980
23 O 0.336 0.555 0.364
24 O 0.391 0.562 0.049
25 O 0.406 0.338 0.755
26 O 0.497 0.835 0.732
27 O 0.503 0.165 0.232
28 O 0.594 0.662 0.255
29 O 0.609 0.438 0.549
30 O 0.664 0.445 0.864
31 O 0.741 0.911 0.480
32 O 0.759 0.911 0.980
33 O 0.836 0.445 0.364
34 O 0.891 0.438 0.049
35 O 0.906 0.662 0.755
36 O 0.997 0.165 0.732

=====

Result of the stability comparison: #b is the least stable of them.